# BaMg14Cd PBE optimized geometry
data_BaMg14Cd
_cell_length_a 6.642
_cell_length_b 6.642
_cell_length_c 10.545
_cell_angle_alpha 90.00
_cell_angle_beta 90.00
_cell_angle_gamma 120.00
_symmetry_space_group_name_H-M 'P 1'
_symmetry_Int_Tables_number 1
loop_
_symmetry_equiv_pos_as_xyz
'x,y,z'
loop_
_atom_site_label
_atom_site_type_symbol
_atom_site_fract_x
_atom_site_fract_y
_atom_site_fract_z
_atom_site_occupancy
Ba1 Ba 0.167 0.333 0.125 1
Mg1 Mg 0.179 0.840 0.125 1
Mg2 Mg 0.163 0.832 0.625 1
Mg3 Mg 0.660 0.321 0.125 1
Mg4 Mg 0.668 0.337 0.625 1
Mg5 Mg 0.660 0.840 0.125 1
Mg6 Mg 0.668 0.832 0.625 1
Mg7 Mg 0.339 0.161 0.390 1
Mg8 Mg 0.339 0.161 0.860 1
Mg9 Mg 0.339 0.678 0.390 1
Mg10 Mg 0.339 0.678 0.860 1
Mg11 Mg 0.822 0.161 0.390 1
Mg12 Mg 0.822 0.161 0.860 1
Mg13 Mg 0.833 0.667 0.371 1
Mg14 Mg 0.833 0.667 0.879 1
Cd1 Cd 0.167 0.333 0.625 1
# - Energy of formation from the pure elements: 0.06 eV/atom
# - Size of the total moment: 0.01 Bohr magnetons per cell
# - Electronic total energy: -24.3 eV for the cell shown

=====

# BaMg14Cd PBE optimized geometry
data_BaMg14Cd
_cell_length_a 6.636
_cell_length_b 6.653
_cell_length_c 10.559
_cell_angle_alpha 90.00
_cell_angle_beta 90.00
_cell_angle_gamma 120.09
_symmetry_space_group_name_H-M 'P 1'
_symmetry_Int_Tables_number 1
loop_
_symmetry_equiv_pos_as_xyz
'x,y,z'
loop_
_atom_site_label
_atom_site_type_symbol
_atom_site_fract_x
_atom_site_fract_y
_atom_site_fract_z
_atom_site_occupancy
Ba1 Ba 0.167 0.333 0.125 1
Mg1 Mg 0.167 0.333 0.625 1
Mg2 Mg 0.163 0.832 0.625 1
Mg3 Mg 0.659 0.316 0.125 1
Mg4 Mg 0.668 0.337 0.625 1
Mg5 Mg 0.659 0.843 0.125 1
Mg6 Mg 0.668 0.831 0.625 1
Mg7 Mg 0.339 0.160 0.389 1
Mg8 Mg 0.339 0.160 0.861 1
Mg9 Mg 0.339 0.679 0.389 1
Mg10 Mg 0.339 0.679 0.861 1
Mg11 Mg 0.821 0.160 0.390 1
Mg12 Mg 0.821 0.160 0.860 1
Mg13 Mg 0.834 0.667 0.369 1
Mg14 Mg 0.834 0.667 0.881 1
Cd1 Cd 0.186 0.843 0.125 1
# - Energy of formation from the pure elements: 0.05 eV/atom
# - Size of the total moment: 0.00 Bohr magnetons per cell
# - Electronic total energy: -24.5 eV for the cell shown

=====

Which value of energy of formation from the pure elements does entry 1 give? 0.06 eV/atom